# 1
VASP calculation (PBE-GGA) on Cu9O13 after structural relaxation.

Space group: C2/m
Energy of formation, meV/atom: -667
Corrected total energy (MP2020 scheme), eV/atom: -5.2673

Geometry as extended XYZ:
```
22
Lattice="1.473 4.919 0.000 -1.473 4.919 0.000 0.000 2.535 16.021" Properties=species:S:1:pos:R:3 pbc="T T T"
O 0.000 4.597 2.211
O 0.000 6.961 6.227
O 0.000 10.653 12.398
O 0.000 7.046 1.090
O 0.000 5.327 14.931
O 0.000 1.720 3.623
O 0.000 5.412 9.794
O 0.000 7.786 10.841
O 0.000 9.715 7.593
O 0.000 7.776 13.810
O 0.000 0.000 0.000
O 0.000 2.658 8.428
O 0.000 4.587 5.180
Cu 0.000 11.462 14.036
Cu 0.000 0.896 5.285
Cu 0.000 0.911 1.985
Cu 0.000 8.844 9.332
Cu 0.000 6.186 8.011
Cu 0.000 3.574 0.671
Cu 0.000 11.477 10.736
Cu 0.000 3.529 6.689
Cu 0.000 8.798 15.350
```

=====

# 2
VASP calculation (PBE-GGA) on SrCdGe after structural relaxation.

Space group: Pnma
Energy of formation, meV/atom: -477

Geometry as extended XYZ:
```
12
Lattice="-1.394 1.347 -4.242 -1.303 -7.481 -1.947 -8.107 0.664 2.874" Properties=species:S:1:pos:R:3 pbc="T T T"
Sr -8.932 -5.828 -2.762
Sr -3.566 -3.298 -1.157
Sr -1.872 0.358 -0.554
Sr -7.238 -2.173 -2.158
Ge -4.487 -0.411 -2.502
Ge -2.893 -4.336 -4.272
Ge -6.316 -5.059 -0.813
Ge -7.911 -1.135 0.957
Cd -8.761 -3.900 0.358
Cd -5.668 -5.068 -3.593
Cd -5.136 -0.403 0.277
Cd -2.042 -1.571 -3.674
```

=====

# 3
VASP calculation (PBE-GGA) on H after structural relaxation.

Space group: I4/mmm
Energy of formation, meV/atom: 4
Distance to the lowest polymorph of the same formula, meV/atom: 3.5

Geometry as extended XYZ:
```
2
Lattice="-2.195 -2.132 -0.469 0.846 0.197 2.972 -1.141 2.749 -0.852" Properties=species:S:1:pos:R:3 pbc="T T T"
H -1.202 -1.724 2.229
H -0.147 -0.211 0.273
```

=====

# 4
VASP calculation (PBE-GGA) on ZrTlCdF7 after structural relaxation.

Space group: Cmcm
Energy of formation, meV/atom: -3208
Corrected total energy (MP2020 scheme), eV/atom: -5.7310

Geometry as extended XYZ:
```
20
Lattice="3.472 -5.664 0.000 3.472 5.664 0.000 0.000 0.000 8.651" Properties=species:S:1:pos:R:3 pbc="T T T"
Tl 3.472 0.000 4.326
Tl 3.472 0.000 0.000
F 4.699 1.738 6.489
F 2.245 1.738 6.489
F 4.891 1.593 2.163
F 3.472 5.558 6.489
F 3.472 3.388 8.533
F 2.052 1.593 2.163
F 2.245 -1.738 2.163
F 4.699 -1.738 2.163
F 2.052 -1.593 6.489
F 3.472 -5.558 2.163
F 4.891 -1.593 6.489
F 3.472 3.388 4.444
F 3.472 -3.388 4.208
F 3.472 -3.388 0.118
Zr 3.472 3.497 6.489
Zr 3.472 -3.497 2.163
Cd 3.472 -3.489 6.489
Cd 3.472 3.489 2.163
```

=====

# 5
VASP calculation (PBE-GGA) on LiMg14V after structural relaxation.

Space group: Amm2
Energy of formation, meV/atom: 80
Distance to the lowest polymorph of the same formula, meV/atom: 3.7

Geometry as extended XYZ:
```
16
Lattice="6.331 -0.023 0.000 -3.185 5.517 0.000 0.000 0.000 10.104" Properties=species:S:1:pos:R:3 pbc="T T T"
Mg 1.551 0.918 8.894
Mg 4.771 0.916 8.880
Mg 1.561 4.587 1.263
Mg 4.771 0.916 3.750
Mg 1.563 4.583 6.315
Mg 1.551 0.918 3.736
Mg -0.022 3.643 8.894
Mg -1.593 4.597 6.315
Mg 3.158 3.662 8.853
Mg -0.022 3.643 3.736
Mg -0.003 1.837 6.315
Mg 3.157 1.821 6.315
Mg 3.160 1.817 1.263
Mg 3.158 3.662 3.776
Li -1.592 4.598 1.263
V -0.006 1.835 1.263
```

=====

# 6
VASP calculation (PBE-GGA) on Al21Pt5 after structural relaxation.

Space group: F-43m
Energy of formation, meV/atom: -225

Geometry as extended XYZ:
```
104
Lattice="0.000 9.454 9.454 9.454 0.000 9.454 9.454 9.454 0.000" Properties=species:S:1:pos:R:3 pbc="T T T"
Pt 7.933 10.974 10.974
Pt 6.465 12.442 6.465
Pt 3.143 9.454 9.454
Pt 9.454 15.765 9.454
Pt 7.933 7.933 7.933
Pt 15.765 9.454 9.454
Pt 12.442 12.442 12.442
Pt 10.974 7.933 10.974
Pt 9.454 9.454 15.765
Pt 4.727 1.734 4.727
Pt 10.974 10.974 7.933
Pt 4.727 4.727 7.720
Pt 7.720 4.727 4.727
Pt 6.465 6.465 12.442
Pt 9.454 9.454 3.143
Pt 1.734 4.727 4.727
Pt 9.454 3.143 9.454
Pt 12.442 6.465 6.465
Pt 4.727 7.720 4.727
Pt 4.727 4.727 1.734
Al 6.204 3.249 6.204
Al 9.454 6.136 9.454
Al 6.324 9.249 3.129
Al 7.862 11.045 14.134
Al 3.129 9.249 6.324
Al 6.204 6.204 3.249
Al 4.582 11.135 7.773
Al 9.454 12.771 9.454
Al 11.135 4.582 7.773
Al 9.249 6.324 3.129
Al 11.045 11.045 4.773
Al 11.045 14.134 7.862
Al 10.483 10.483 10.483
Al 9.454 9.454 6.136
Al 12.402 9.304 6.505
Al 17.590 14.180 14.180
Al 9.249 3.129 6.324
Al 3.249 3.249 3.249
Al 11.045 7.862 14.134
Al 12.402 12.402 9.603
Al 8.424 10.483 8.424
Al 9.304 12.402 6.505
Al 14.180 14.180 10.771
Al 9.454 9.454 12.771
Al 12.402 6.505 9.304
Al 14.325 11.135 11.135
Al 9.304 6.505 12.402
Al 7.773 4.582 11.135
Al 8.424 8.424 10.483
Al 11.045 4.773 11.045
Al 6.182 6.182 6.182
Al 3.129 3.129 0.204
Al 15.176 13.185 13.185
Al 3.249 6.204 6.204
Al 4.773 11.045 11.045
Al 7.773 7.773 14.325
Al 7.862 4.773 7.862
Al 6.505 6.505 9.603
Al 7.862 7.862 4.773
Al 4.582 7.773 11.135
Al 8.448 8.448 1.006
Al 9.603 12.402 12.402
Al 6.505 9.304 12.402
Al 7.862 14.134 11.045
Al 0.204 6.324 6.324
Al 3.129 6.324 9.249
Al 13.185 15.176 13.185
Al 7.773 11.135 4.582
Al 14.134 11.045 7.862
Al 8.448 1.006 8.448
Al 12.771 9.454 9.454
Al 1.006 1.006 1.006
Al 3.272 3.272 6.182
Al 6.505 9.603 6.505
Al 6.505 12.402 9.304
Al 11.135 14.325 11.135
Al 15.176 15.176 15.176
Al 0.204 3.129 3.129
Al 11.135 11.135 14.325
Al 6.324 6.324 0.204
Al 3.129 0.204 3.129
Al 6.324 3.129 9.249
Al 10.771 14.180 14.180
Al 6.324 0.204 6.324
Al 1.006 8.448 8.448
Al 7.773 14.325 7.773
Al 14.180 17.590 14.180
Al 4.773 7.862 7.862
Al 12.402 9.603 12.402
Al 11.226 17.135 11.226
Al 11.135 7.773 4.582
Al 9.603 6.505 6.505
Al 10.483 8.424 8.424
Al 6.182 3.272 3.272
Al 14.325 7.773 7.773
Al 6.136 9.454 9.454
Al 11.226 11.226 17.135
Al 14.180 14.180 17.590
Al 14.134 7.862 11.045
Al 17.135 17.135 17.135
Al 3.272 6.182 3.272
Al 14.180 10.771 14.180
Al 17.135 11.226 11.226
Al 13.185 13.185 15.176
```

=====

# 7
VASP calculation (PBE-GGA) on Mg6AlCdO8 after structural relaxation.

Space group: P4/mmm
Energy of formation, meV/atom: -2621
Corrected total energy (MP2020 scheme), eV/atom: -5.9864
Distance to the lowest polymorph of the same formula, meV/atom: 45.7

Geometry as extended XYZ:
```
16
Lattice="-0.561 -3.136 8.105 4.309 0.687 0.564 -0.843 4.046 1.507" Properties=species:S:1:pos:R:3 pbc="T T T"
Al 0.000 0.000 0.000
Mg 2.012 -0.453 2.341
Mg -0.281 -1.568 4.052
Mg 1.736 -1.996 6.328
Mg 1.452 0.799 5.088
Mg -0.840 -0.316 6.799
Mg -0.564 1.226 2.813
O 1.323 0.075 6.958
O -0.702 0.455 4.806
O 2.154 0.344 0.282
O 1.582 1.522 3.219
O -0.421 2.023 0.754
O -0.130 -0.728 1.880
O -0.431 -2.409 6.224
O 1.874 -1.224 4.334
Cd 1.733 2.367 1.036
```

=====

# 8
VASP calculation (PBE-GGA) on K3Hf2Se11 after structural relaxation.

Space group: P1
Energy of formation, meV/atom: -1047
Corrected total energy (MP2020 scheme), eV/atom: -4.9028

Geometry as extended XYZ:
```
128
Lattice="-5.918 9.461 -1.743 -0.227 -5.702 -11.642 -21.804 -16.954 24.110" Properties=species:S:1:pos:R:3 pbc="T T T"
Se -20.578 -17.525 11.523
Se -10.009 -1.790 -3.270
Se -6.548 -5.424 -3.693
Se -20.672 -14.335 9.350
Se -19.591 -10.727 7.288
Se -10.214 1.658 0.593
Se -24.822 -12.394 17.376
Se -16.118 -11.870 13.000
Se -22.864 -13.758 17.729
Se -11.824 -5.769 7.331
Se -4.800 -6.565 -1.784
Se -10.044 -4.249 -3.472
Se -2.866 0.371 1.270
Se -16.244 -4.180 1.974
Se -16.788 -2.438 10.665
Se -23.106 -7.091 11.292
Se -19.684 -7.241 1.980
Se -9.983 -8.761 -2.421
Se -10.945 -7.180 0.963
Se -4.736 -2.414 2.007
Se -20.362 -14.590 12.467
Se -10.522 -10.879 1.773
Se -7.020 -3.407 -5.007
Se -6.721 4.279 -8.544
Se -6.006 -0.339 -2.686
Se -8.509 -2.578 -8.081
Se -25.826 -7.557 19.464
Se -3.129 -1.446 -9.499
Se -19.985 -6.728 6.511
Se -11.379 -1.029 -6.619
Se -15.648 -12.229 4.307
Se -17.328 -2.125 5.518
Se -24.202 -15.433 9.775
Se -14.090 -10.461 11.100
Se -23.252 -15.929 18.861
Se -19.692 -14.127 7.149
Se -15.500 -9.608 2.924
Se -24.177 -17.938 12.335
Se -7.043 -0.383 -0.395
Se -18.087 -5.171 12.548
Se -11.158 1.293 4.678
Se -16.225 0.576 9.789
Se -13.276 -4.460 11.200
Se -15.899 -6.531 2.691
Se -19.191 -14.782 18.381
Se -23.921 -10.707 12.286
Se -18.180 -9.160 14.214
Se -13.057 -11.869 9.391
Se -10.932 -1.804 0.449
Se -16.867 -11.892 17.468
Se -13.328 -12.519 3.646
Se -9.161 0.925 -3.345
Se -8.958 4.228 -4.321
Se -14.140 -2.473 8.009
Se -21.464 -8.459 10.302
Se -9.761 -7.185 9.891
Se -15.769 -9.181 10.005
Se -7.631 -6.581 4.746
Se -18.568 -6.504 14.514
Se -21.486 -8.226 17.466
Se -22.923 -10.240 17.536
Se -19.922 -15.995 16.428
Se -12.583 -6.441 5.136
Se -3.793 0.311 -2.892
Se -6.135 -0.520 3.947
Se -3.963 -2.989 -6.875
Se -19.308 -8.497 8.059
Se -11.952 -3.807 -0.289
Se -15.506 -2.801 3.784
Se -10.990 -2.280 5.454
Se -27.353 -11.709 13.660
Se -20.017 -19.760 10.755
Se -12.675 -7.873 2.520
Se -10.430 -8.955 8.235
Se -24.413 -8.546 13.046
Se -25.876 -11.506 11.129
Se -5.259 -4.110 0.557
Se -18.232 -11.820 14.114
Se -17.914 -17.569 9.160
Se -17.112 -13.992 9.526
Se -5.187 5.355 -3.797
Se -8.712 3.455 -6.605
Se -6.960 -5.028 3.044
Se -5.912 6.308 -0.110
Se -26.718 -9.895 16.841
Se -15.981 -14.368 5.510
Se -9.485 5.564 1.981
Se -10.003 0.777 -7.392
K -9.184 -0.604 3.033
K -15.722 -7.448 12.837
K -23.012 -15.250 22.864
K -2.057 -2.425 -4.174
K -8.181 4.012 -1.017
K -14.077 -6.639 -0.207
K -15.543 -5.253 5.930
K -12.996 -7.514 9.789
K -10.249 -8.735 4.782
K -21.295 -9.099 13.946
K -22.818 -15.503 14.568
K -21.185 -5.160 15.956
K -12.901 0.691 7.348
K -20.391 -5.194 9.871
K -16.258 -10.614 7.105
K -20.947 -11.822 19.748
K -5.261 2.441 -4.867
K -8.676 -4.396 -0.373
K -5.597 2.030 1.786
K -22.808 -11.640 8.382
K -7.862 -3.107 5.970
K -6.462 0.664 -8.682
K -12.469 -3.938 2.958
K -18.595 -11.068 10.742
Hf -4.015 5.908 -1.582
Hf -2.203 -3.830 -8.661
Hf -5.151 -5.016 -5.908
Hf -11.066 -9.451 -0.222
Hf -16.153 -10.668 15.417
Hf -16.527 -1.504 8.146
Hf -17.525 -8.366 1.455
Hf -9.657 -2.967 -5.774
Hf -25.197 -10.070 19.073
Hf -10.950 3.153 2.686
Hf -13.144 -10.397 2.148
Hf -11.739 -3.258 7.531
Hf -9.521 -0.186 -1.030
Hf -20.778 -16.830 18.805
Hf -18.864 -15.660 10.786
Hf -16.638 -15.858 7.833
```

=====

# 9
VASP calculation (PBE-GGA) on MoCl5 after structural relaxation.

Space group: C2/m
Energy of formation, meV/atom: -1300
Corrected total energy (MP2020 scheme), eV/atom: -4.6484
Distance to the lowest polymorph of the same formula, meV/atom: 2.6

Geometry as extended XYZ:
```
36
Lattice="9.101 9.085 0.000 -9.101 9.085 0.000 0.000 0.638 6.308" Properties=species:S:1:pos:R:3 pbc="T T T"
Cl -1.713 4.823 1.949
Cl 3.451 13.609 1.540
Cl 1.725 8.015 5.197
Cl 3.460 11.188 3.938
Cl 0.000 11.218 3.888
Cl 1.725 10.793 1.111
Cl 0.000 17.398 5.499
Cl 3.451 5.200 4.768
Cl -1.725 8.015 5.197
Cl -7.380 10.859 4.333
Cl -3.460 11.188 3.938
Cl 0.000 7.590 2.420
Cl -3.451 5.200 4.768
Cl -7.380 7.949 1.975
Cl 0.000 5.255 4.727
Cl 0.000 13.553 1.581
Cl 3.460 7.620 2.370
Cl -5.650 8.244 5.442
Cl 1.713 13.985 4.359
Cl 7.380 7.949 1.975
Cl -1.725 10.793 1.111
Cl 7.380 10.859 4.333
Cl 5.650 10.565 0.866
Cl -5.650 10.565 0.866
Cl 1.713 4.823 1.949
Cl -3.451 13.609 1.540
Cl 5.650 8.244 5.442
Cl -1.713 13.985 4.359
Cl 0.000 1.410 0.809
Cl -3.460 7.620 2.370
Mo -1.948 12.388 2.736
Mo 1.948 12.388 2.736
Mo -1.948 6.420 3.572
Mo -7.149 9.085 0.000
Mo 7.149 9.085 0.000
Mo 1.948 6.420 3.572
```

=====

# 10
VASP calculation (PBE-GGA) on La4Cu5Sb8 after structural relaxation.

Space group: P4mm
Energy of formation, meV/atom: -751
Corrected total energy (MP2020 scheme), eV/atom: -5.0611

Geometry as extended XYZ:
```
17
Lattice="-1.881 -0.850 -3.961 3.272 -2.893 -0.933 -11.121 -15.343 8.572" Properties=species:S:1:pos:R:3 pbc="T T T"
La -3.485 -7.640 0.775
La -6.956 -9.596 5.361
La -8.997 -15.243 5.023
La -1.391 -1.919 1.072
Sb -3.926 -9.121 3.821
Sb -9.154 -12.628 7.055
Sb -9.439 -16.726 8.070
Sb -1.357 -4.704 -0.865
Sb -6.503 -8.099 2.307
Sb -3.596 -4.961 2.772
Sb -6.837 -12.263 3.358
Sb -12.016 -15.704 6.556
Cu -1.147 -5.287 1.679
Cu -6.705 -12.954 5.963
Cu -3.724 -4.265 0.165
Cu -0.026 -2.867 -1.891
Cu -9.282 -11.933 4.449
```